Compound: RbNpO3
Source: the Materials Project
Functional: GGA-PBE
Structure: optimized geometry

Lattice parameters (Å, degrees): 4.331 4.331 4.331 90.00 90.00 90.00
Fractional positions:
Rb (0.500, 0.500, 0.500)
Np (0.000, 0.000, 0.000)
O (0.000, 0.000, 0.500)
O (0.000, 0.500, 0.000)
O (0.500, 0.000, 0.000)

Calculated values
E_tot: -8.4198 eV/atom
ΔE_f: -3.08 eV per atom

=====

Compound: Rb2Np2O5
Source: the Materials Project
Functional: GGA-PBE
Structure: optimized geometry

Lattice parameters (Å, degrees): 4.355 4.355 8.939 90.00 90.00 90.00
Fractional positions:
Rb (0.000, 0.000, 0.000)
Rb (0.000, 0.000, 0.500)
Np (0.500, 0.500, 0.259)
Np (0.500, 0.500, 0.741)
O (0.500, 0.000, 0.236)
O (0.500, 0.000, 0.764)
O (0.500, 0.500, 0.500)
O (0.000, 0.500, 0.236)
O (0.000, 0.500, 0.764)

Calculated values
E_tot: -8.3066 eV/atom
ΔE_f: -2.84 eV per atom

=====

Compound: NpRuO3
Source: the Materials Project
Functional: GGA-PBE
Structure: optimized geometry

Lattice parameters (Å, degrees): 3.963 3.963 3.963 90.00 90.00 90.00
Fractional positions:
Np (0.000, 0.000, 0.000)
Ru (0.500, 0.500, 0.500)
O (0.500, 0.500, 0.000)
O (0.500, 0.000, 0.500)
O (0.000, 0.500, 0.500)

Calculated values
E_tot: -8.8618 eV/atom
ΔE_f: -1.86 eV per atom

=====

Compound: Np2SO10
Source: the Materials Project
Functional: GGA-PBE
Structure: optimized geometry

Lattice parameters (Å, degrees): 14.303 5.509 14.608 90.00 98.46 90.00
Fractional positions:
Np (0.344, 0.813, 0.658)
Np (0.656, 0.813, 0.842)
Np (0.656, 0.187, 0.342)
Np (0.344, 0.187, 0.158)
Np (0.137, 0.320, 0.670)
Np (0.863, 0.320, 0.830)
Np (0.863, 0.680, 0.330)
Np (0.137, 0.680, 0.170)
S (0.250, 0.626, 0.864)
S (0.750, 0.626, 0.636)
S (0.750, 0.374, 0.136)
S (0.250, 0.374, 0.364)
O (0.169, 0.779, 0.870)
O (0.831, 0.779, 0.630)
O (0.831, 0.221, 0.130)
O (0.169, 0.221, 0.370)
O (0.300, 0.524, 0.947)
O (0.700, 0.524, 0.553)
O (0.700, 0.476, 0.053)
O (0.300, 0.476, 0.447)
O (0.317, 0.744, 0.806)
O (0.683, 0.744, 0.694)
O (0.683, 0.256, 0.194)
O (0.317, 0.256, 0.306)
O (0.211, 0.391, 0.801)
O (0.789, 0.391, 0.699)
O (0.789, 0.609, 0.199)
O (0.211, 0.609, 0.301)
O (0.450, 0.642, 0.644)
O (0.550, 0.642, 0.856)
O (0.550, 0.358, 0.356)
O (0.450, 0.358, 0.144)
O (0.064, 0.241, 0.562)
O (0.936, 0.241, 0.938)
O (0.936, 0.759, 0.438)
O (0.064, 0.759, 0.062)
O (0.262, 0.549, 0.635)
O (0.738, 0.549, 0.865)
O (0.738, 0.451, 0.365)
O (0.262, 0.451, 0.135)
O (0.409, 0.090, 0.681)
O (0.591, 0.090, 0.819)
O (0.591, 0.910, 0.319)
O (0.409, 0.910, 0.181)
O (0.071, 0.592, 0.683)
O (0.929, 0.592, 0.817)
O (0.929, 0.408, 0.317)
O (0.071, 0.408, 0.183)
O (0.216, 0.040, 0.659)
O (0.784, 0.040, 0.841)
O (0.784, 0.960, 0.341)
O (0.216, 0.960, 0.159)

Calculated values
E_tot: -8.0293 eV/atom
ΔE_f: -2.44 eV per atom
Polymorph energy (0 for the lowest one): 103 meV/atom

=====

What is the E_tot in the second record? -8.3066 eV/atom